# 1
Li4Mn3Co3O12 | PBE+U | optimized geometry

The structure in CIF format:
```
data_Li4Mn3Co3O12
_chemical_formula_sum 'Li4 Mn3 Co3 O12'
_space_group_name_H-M_alt 'P 1'
_space_group_IT_number 1
_cell_length_a 6.8993
_cell_length_b 5.8752
_cell_length_c 5.7089
_cell_angle_alpha 89.14
_cell_angle_beta 102.18
_cell_angle_gamma 76.72
loop_
_space_group_symop_operation_xyz
'x,y,z'
loop_
_atom_site_label
_atom_site_fract_x
_atom_site_fract_y
_atom_site_fract_z
_atom_site_occupancy
O1 0.6288 0.0947 0.4186 1
Li1 0.6668 0.3333 0.1667 1
O2 0.3299 0.9463 0.5885 1
O3 0.9711 0.7252 0.2420 1
Co1 0.6667 0.8333 0.1666 1
Mn1 0.3325 0.1679 0.3374 1
O4 0.3622 0.9415 0.0913 1
Co2 0.3281 0.1665 0.8332 1
O5 0.3295 0.3849 0.5875 1
O6 0.6545 0.0537 0.9173 1
Li2 0.0269 0.9757 0.4796 1
Co3 0.0053 0.5002 0.5001 1
Li3 0.6666 0.3333 0.6667 1
O7 0.3053 0.3994 0.0733 1
O8 0.0281 0.2673 0.2600 1
O9 0.6788 0.6129 0.4160 1
O10 0.0034 0.7204 0.7448 1
O11 0.7046 0.5719 0.9148 1
Li4 0.3064 0.6911 0.8539 1
Mn2 0.0008 0.4987 0.9960 1
Mn3 0.6666 0.8333 0.6666 1
O12 0.0039 0.2818 0.7458 1
```

Output
ΔE_f: -39.305 eV per formula unit


# 2
Li6Mn3CoO10 | PBE+U | optimized geometry

The structure in CIF format:
```
data_Li6Mn3CoO10
_chemical_formula_sum 'Li6 Mn3 Co1 O10'
_space_group_name_H-M_alt 'P 1'
_space_group_IT_number 1
_cell_length_a 5.0285
_cell_length_b 5.8270
_cell_length_c 6.6384
_cell_angle_alpha 76.41
_cell_angle_beta 81.57
_cell_angle_gamma 106.92
loop_
_space_group_symop_operation_xyz
'x,y,z'
loop_
_atom_site_label
_atom_site_fract_x
_atom_site_fract_y
_atom_site_fract_z
_atom_site_occupancy
O1 0.7091 0.6636 0.1139 1
O2 0.9163 0.5489 0.6715 1
Mn1 0.2019 0.3992 0.6043 1
O3 0.9231 0.0636 0.7131 1
O4 0.2731 0.8550 0.9073 1
Li1 0.7951 0.1016 0.4042 1
Mn2 0.4017 0.8034 0.1961 1
O5 0.6992 0.1230 0.1032 1
Co1 0.8012 0.5985 0.4044 1
Li2 0.2077 0.9005 0.6132 1
O6 0.1061 0.4667 0.3221 1
Li3 0.4099 0.2976 0.2014 1
Li4 0.6023 0.7012 0.7940 1
O7 0.0911 0.9409 0.2790 1
O8 0.2697 0.3360 0.8888 1
O9 0.5059 0.7220 0.5087 1
Li5 0.5986 0.2005 0.7938 1
Li6 0.9863 0.4996 0.9883 1
Mn3 0.0021 0.0000 0.9950 1
O10 0.4997 0.2783 0.4977 1
```

Output
ΔE_f: -41.210 eV per formula unit


# 3
Li4MnCo2O7 | PBE+U | optimized geometry

The structure in CIF format:
```
data_Li4MnCo2O7
_chemical_formula_sum 'Li8 Mn2 Co4 O14'
_space_group_name_H-M_alt 'P 1'
_space_group_IT_number 1
_cell_length_a 6.4634
_cell_length_b 6.6268
_cell_length_c 6.6550
_cell_angle_alpha 72.07
_cell_angle_beta 72.15
_cell_angle_gamma 71.52
loop_
_space_group_symop_operation_xyz
'x,y,z'
loop_
_atom_site_label
_atom_site_fract_x
_atom_site_fract_y
_atom_site_fract_z
_atom_site_occupancy
Li1 0.5000 0.0000 0.5000 1
Mn1 0.7824 0.5770 0.6396 1
O1 0.8226 0.8685 0.5397 1
Co1 0.6465 0.2801 0.0748 1
O2 0.2387 0.7350 0.2487 1
Co2 0.0840 0.1369 0.7779 1
Co3 0.9160 0.8631 0.2221 1
O3 0.1010 0.4612 0.6569 1
O4 0.9476 0.1802 0.1054 1
Li2 0.2876 0.0669 0.1494 1
O5 0.5176 0.3322 0.3814 1
O6 0.6304 0.9616 0.1706 1
O7 0.6766 0.6031 0.9381 1
O8 0.7613 0.2650 0.7513 1
O9 0.1774 0.1315 0.4603 1
Li3 0.7124 0.9331 0.8506 1
Li4 0.4367 0.3505 0.7053 1
Li5 0.0000 0.5000 0.0000 1
O10 0.3696 0.0384 0.8294 1
O11 0.3234 0.3969 0.0619 1
O12 0.4824 0.6678 0.6186 1
Co4 0.3535 0.7199 0.9252 1
Mn2 0.2176 0.4230 0.3604 1
Li6 0.1479 0.7947 0.5675 1
O13 0.8990 0.5388 0.3431 1
Li7 0.5633 0.6495 0.2947 1
Li8 0.8521 0.2053 0.4325 1
O14 0.0524 0.8198 0.8946 1
```

Output
ΔE_f: -25.834 eV per formula unit


# 4
Li4MnCo2O7 | PBE+U | optimized geometry

The structure in CIF format:
```
data_Li4MnCo2O7
_chemical_formula_sum 'Li8 Mn2 Co4 O14'
_space_group_name_H-M_alt 'P 1'
_space_group_IT_number 1
_cell_length_a 14.7359
_cell_length_b 14.7359
_cell_length_c 5.8828
_cell_angle_alpha 83.75
_cell_angle_beta 83.75
_cell_angle_gamma 11.39
loop_
_space_group_symop_operation_xyz
'x,y,z'
loop_
_atom_site_label
_atom_site_fract_x
_atom_site_fract_y
_atom_site_fract_z
_atom_site_occupancy
O1 0.2155 0.2155 0.4089 1
Li1 0.0000 0.0000 0.0000 1
O2 0.0719 0.0719 0.4372 1
Co1 0.2860 0.2860 0.3575 1
O3 0.3564 0.3564 0.3041 1
Li2 0.4330 0.4330 0.2897 1
O4 0.6392 0.6392 0.1627 1
Li3 0.1425 0.1425 0.4275 1
Li4 0.8575 0.8575 0.5725 1
Co2 0.1427 0.1427 0.9279 1
Li5 0.0000 0.0000 0.5000 1
Mn1 0.5679 0.5679 0.2204 1
O5 0.7876 0.7876 0.1206 1
O6 0.3608 0.3608 0.8373 1
O7 0.4943 0.4943 0.7537 1
Co3 0.7140 0.7140 0.6425 1
O8 0.9281 0.9281 0.5628 1
Co4 0.8573 0.8573 0.0721 1
Li6 0.5670 0.5670 0.7103 1
O9 0.9273 0.9273 0.0111 1
O10 0.2124 0.2124 0.8794 1
O11 0.6436 0.6436 0.6959 1
Mn2 0.4321 0.4321 0.7796 1
O12 0.7845 0.7845 0.5911 1
Li7 0.7147 0.7147 0.1423 1
O13 0.0727 0.0727 0.9889 1
Li8 0.2853 0.2853 0.8577 1
O14 0.5057 0.5057 0.2463 1
```

Output
ΔE_f: -26.199 eV per formula unit


Summary of E_tot in eV per atom
-6.226 -6.161 -5.838 -5.864
(order as listed above)
Summary of magnetic moment in μB per cell
16.00 10.00 22.00 6.00
(order as listed above)